Record 1
Os2PtC9O9 | PBE-GGA | relaxed

Cell lengths 17.964, 15.725, 10.488 Å; angles 90.00, 90.00, 90.00 degrees
Atoms (fractional coordinates):
Os 0.075 0.118 0.000
Os 0.122 0.531 0.135
Os 0.217 0.683 0.103
Os 0.228 0.182 0.046
Os 0.272 0.682 0.546
Os 0.283 0.183 0.603
Os 0.378 0.031 0.635
Os 0.425 0.618 0.500
Os 0.575 0.382 0.000
Os 0.622 0.969 0.135
Os 0.717 0.817 0.103
Os 0.728 0.318 0.046
Os 0.772 0.818 0.546
Os 0.783 0.317 0.603
Os 0.878 0.469 0.635
Os 0.925 0.882 0.500
Pt 0.169 0.138 0.800
Pt 0.187 0.598 0.344
Pt 0.313 0.098 0.844
Pt 0.331 0.638 0.300
Pt 0.669 0.362 0.800
Pt 0.687 0.902 0.344
Pt 0.813 0.402 0.844
Pt 0.831 0.862 0.300
C 0.014 0.921 0.421
C 0.039 0.119 0.172
C 0.042 0.616 0.140
C 0.052 0.239 0.971
C 0.064 0.439 0.203
C 0.092 0.116 0.687
C 0.104 0.506 0.959
C 0.111 0.000 0.999
C 0.121 0.535 0.442
C 0.154 0.746 0.223
C 0.156 0.713 0.960
C 0.170 0.714 0.562
C 0.188 0.231 0.199
C 0.210 0.281 0.938
C 0.212 0.275 0.592
C 0.214 0.466 0.152
C 0.222 0.105 0.502
C 0.246 0.071 0.125
C 0.254 0.571 0.625
C 0.278 0.605 0.002
C 0.286 0.966 0.652
C 0.288 0.775 0.092
C 0.290 0.781 0.438
C 0.312 0.731 0.699
C 0.330 0.214 0.062
C 0.344 0.213 0.460
C 0.346 0.246 0.723
C 0.379 0.035 0.942
C 0.389 0.500 0.499
C 0.396 0.006 0.459
C 0.408 0.616 0.187
C 0.436 0.939 0.703
C 0.448 0.739 0.471
C 0.458 0.116 0.640
C 0.461 0.619 0.672
C 0.486 0.421 0.921
C 0.514 0.579 0.421
C 0.539 0.381 0.172
C 0.542 0.884 0.140
C 0.552 0.261 0.971
C 0.564 0.061 0.203
C 0.592 0.384 0.687
C 0.604 0.994 0.959
C 0.611 0.500 0.999
C 0.621 0.965 0.442
C 0.654 0.754 0.223
C 0.656 0.787 0.960
C 0.670 0.786 0.562
C 0.688 0.269 0.199
C 0.710 0.219 0.938
C 0.712 0.225 0.592
C 0.714 0.034 0.152
C 0.722 0.395 0.502
C 0.746 0.429 0.125
C 0.754 0.929 0.625
C 0.778 0.895 0.002
C 0.786 0.534 0.652
C 0.788 0.725 0.092
C 0.790 0.719 0.438
C 0.812 0.769 0.699
C 0.830 0.286 0.062
C 0.844 0.287 0.460
C 0.846 0.254 0.723
C 0.879 0.465 0.942
C 0.889 0.000 0.499
C 0.896 0.494 0.459
C 0.908 0.884 0.187
C 0.936 0.561 0.703
C 0.948 0.761 0.471
C 0.958 0.384 0.640
C 0.961 0.881 0.672
C 0.986 0.079 0.921
O 0.004 0.332 0.641
O 0.018 0.122 0.277
O 0.030 0.382 0.242
O 0.037 0.309 0.951
O 0.042 0.103 0.621
O 0.067 0.947 0.372
O 0.081 0.494 0.503
O 0.094 0.494 0.851
O 0.109 0.737 0.577
O 0.114 0.790 0.281
O 0.119 0.733 0.874
O 0.127 0.929 0.992
O 0.165 0.261 0.292
O 0.171 0.331 0.579
O 0.187 0.062 0.434
O 0.205 0.345 0.882
O 0.232 0.925 0.660
O 0.240 0.508 0.677
O 0.260 0.008 0.177
O 0.268 0.425 0.160
O 0.295 0.845 0.382
O 0.313 0.562 0.934
O 0.329 0.831 0.079
O 0.335 0.761 0.792
O 0.373 0.429 0.492
O 0.381 0.233 0.374
O 0.386 0.290 0.781
O 0.391 0.237 0.077
O 0.406 0.994 0.351
O 0.419 0.994 0.003
O 0.433 0.447 0.872
O 0.458 0.603 0.121
O 0.463 0.809 0.451
O 0.470 0.882 0.742
O 0.482 0.622 0.777
O 0.496 0.832 0.141
O 0.504 0.168 0.641
O 0.518 0.378 0.277
O 0.530 0.118 0.242
O 0.537 0.191 0.951
O 0.542 0.397 0.621
O 0.567 0.553 0.372
O 0.581 0.006 0.503
O 0.594 0.006 0.851
O 0.609 0.763 0.577
O 0.614 0.710 0.281
O 0.619 0.767 0.874
O 0.627 0.571 0.992
O 0.665 0.239 0.292
O 0.671 0.169 0.579
O 0.687 0.438 0.434
O 0.705 0.155 0.882
O 0.732 0.575 0.660
O 0.740 0.992 0.677
O 0.760 0.492 0.177
O 0.768 0.075 0.160
O 0.795 0.655 0.382
O 0.813 0.938 0.934
O 0.829 0.669 0.079
O 0.835 0.739 0.792
O 0.873 0.071 0.492
O 0.881 0.267 0.374
O 0.886 0.210 0.781
O 0.891 0.263 0.077
O 0.906 0.506 0.351
O 0.919 0.506 0.003
O 0.933 0.053 0.872
O 0.958 0.897 0.121
O 0.963 0.691 0.451
O 0.970 0.618 0.742
O 0.982 0.878 0.777
O 0.996 0.668 0.141

Calculated values
energy of formation	-0.917	eV per atom
space-group type	Pna2_1
corrected total energy (MP2020 scheme)	-8.351	eV per atom
calculated density	3.7	Mg/m³

---

Record 2
Os6C19SO19 | PBE-GGA | relaxed

Cell lengths 11.249, 11.514, 13.067 Å; angles 104.53, 91.10, 108.99 degrees
Atoms (fractional coordinates):
Os 0.054 0.210 0.368
Os 0.172 0.432 0.294
Os 0.198 0.363 0.068
Os 0.215 0.199 0.199
Os 0.313 0.220 0.410
Os 0.375 0.056 0.227
Os 0.625 0.944 0.773
Os 0.687 0.780 0.590
Os 0.785 0.801 0.801
Os 0.802 0.637 0.932
Os 0.828 0.568 0.706
Os 0.946 0.790 0.632
C 0.000 0.039 0.374
C 0.000 0.961 0.626
C 0.002 0.741 0.498
C 0.011 0.441 0.252
C 0.019 0.258 0.053
C 0.062 0.062 0.147
C 0.104 0.809 0.700
C 0.156 0.490 0.442
C 0.169 0.506 0.041
C 0.213 0.926 0.230
C 0.218 0.292 0.922
C 0.261 0.070 0.459
C 0.261 0.600 0.283
C 0.282 0.323 0.540
C 0.284 0.153 0.067
C 0.382 0.455 0.106
C 0.391 0.950 0.093
C 0.473 0.992 0.304
C 0.479 0.792 0.779
C 0.486 0.258 0.457
C 0.514 0.742 0.543
C 0.521 0.208 0.221
C 0.527 0.008 0.696
C 0.609 0.050 0.907
C 0.618 0.545 0.894
C 0.716 0.847 0.933
C 0.718 0.677 0.460
C 0.739 0.400 0.717
C 0.739 0.930 0.541
C 0.782 0.708 0.078
C 0.787 0.074 0.770
C 0.831 0.494 0.959
C 0.844 0.510 0.558
C 0.896 0.191 0.300
C 0.938 0.938 0.853
C 0.981 0.742 0.947
C 0.989 0.559 0.748
C 0.998 0.259 0.502
S 0.368 0.387 0.315
S 0.632 0.613 0.685
O 0.033 0.023 0.888
O 0.034 0.707 0.415
O 0.043 0.068 0.627
O 0.082 0.546 0.773
O 0.088 0.803 0.959
O 0.121 0.841 0.227
O 0.149 0.542 0.530
O 0.151 0.596 0.029
O 0.205 0.832 0.741
O 0.233 0.255 0.834
O 0.236 0.980 0.491
O 0.274 0.383 0.624
O 0.315 0.704 0.280
O 0.319 0.115 0.985
O 0.394 0.707 0.785
O 0.397 0.879 0.015
O 0.409 0.716 0.509
O 0.466 0.042 0.645
O 0.489 0.512 0.122
O 0.511 0.488 0.878
O 0.534 0.958 0.355
O 0.591 0.284 0.491
O 0.603 0.121 0.985
O 0.606 0.293 0.215
O 0.681 0.885 0.015
O 0.685 0.296 0.720
O 0.726 0.617 0.376
O 0.764 0.020 0.509
O 0.767 0.745 0.166
O 0.795 0.168 0.259
O 0.849 0.404 0.971
O 0.851 0.458 0.470
O 0.879 0.159 0.773
O 0.912 0.197 0.041
O 0.918 0.454 0.227
O 0.957 0.932 0.373
O 0.966 0.293 0.585
O 0.967 0.977 0.112

Calculated values
energy of formation	-0.929	eV per atom
space-group type	P-1
corrected total energy (MP2020 scheme)	-8.504	eV per atom
calculated density	3.7	Mg/m³

---

Record 3
Os4C13SO13 | PBE-GGA | relaxed

Cell lengths 9.707, 15.577, 15.860 Å; angles 113.26, 99.37, 95.55 degrees
Atoms (fractional coordinates):
Os 0.061 0.303 0.262
Os 0.095 0.785 0.651
Os 0.174 0.620 0.670
Os 0.175 0.155 0.308
Os 0.316 0.713 0.264
Os 0.327 0.229 0.915
Os 0.424 0.323 0.809
Os 0.431 0.816 0.162
Os 0.569 0.184 0.838
Os 0.576 0.677 0.191
Os 0.673 0.771 0.085
Os 0.684 0.287 0.736
Os 0.825 0.845 0.692
Os 0.826 0.380 0.330
Os 0.905 0.215 0.349
Os 0.939 0.697 0.738
C 0.009 0.782 0.868
C 0.038 0.406 0.227
C 0.045 0.855 0.577
C 0.064 0.063 0.184
C 0.143 0.752 0.294
C 0.154 0.497 0.668
C 0.190 0.134 0.813
C 0.198 0.059 0.353
C 0.202 0.302 0.980
C 0.207 0.887 0.762
C 0.215 0.616 0.138
C 0.234 0.822 0.156
C 0.256 0.764 0.596
C 0.257 0.370 0.843
C 0.261 0.328 0.267
C 0.274 0.259 0.429
C 0.302 0.580 0.590
C 0.312 0.694 0.785
C 0.314 0.627 0.322
C 0.317 0.252 0.683
C 0.321 0.165 0.995
C 0.346 0.146 0.262
C 0.428 0.818 0.379
C 0.433 0.886 0.086
C 0.486 0.072 0.726
C 0.491 0.443 0.810
C 0.509 0.557 0.190
C 0.514 0.928 0.274
C 0.567 0.114 0.914
C 0.572 0.182 0.621
C 0.654 0.854 0.738
C 0.679 0.835 0.005
C 0.683 0.748 0.317
C 0.686 0.373 0.678
C 0.688 0.306 0.215
C 0.698 0.420 0.410
C 0.726 0.741 0.571
C 0.739 0.672 0.733
C 0.743 0.630 0.157
C 0.744 0.236 0.404
C 0.766 0.178 0.844
C 0.785 0.384 0.862
C 0.793 0.113 0.238
C 0.798 0.698 0.020
C 0.802 0.941 0.647
C 0.810 0.866 0.187
C 0.846 0.503 0.332
C 0.857 0.248 0.706
C 0.936 0.937 0.816
C 0.955 0.145 0.423
C 0.962 0.594 0.773
C 0.991 0.218 0.132
S 0.038 0.375 0.424
S 0.450 0.665 0.040
S 0.550 0.335 0.960
S 0.962 0.625 0.576
O 0.005 0.006 0.111
O 0.032 0.898 0.531
O 0.036 0.775 0.310
O 0.039 0.465 0.199
O 0.058 0.831 0.947
O 0.111 0.076 0.747
O 0.117 0.835 0.147
O 0.123 0.345 0.019
O 0.140 0.421 0.664
O 0.151 0.560 0.066
O 0.157 0.405 0.856
O 0.215 0.001 0.380
O 0.246 0.206 0.608
O 0.282 0.945 0.830
O 0.309 0.125 0.042
O 0.312 0.575 0.357
O 0.341 0.318 0.499
O 0.353 0.761 0.560
O 0.379 0.348 0.267
O 0.380 0.554 0.541
O 0.387 0.751 0.854
O 0.422 0.932 0.044
O 0.430 0.002 0.661
O 0.450 0.140 0.235
O 0.479 0.481 0.187
O 0.488 0.880 0.449
O 0.512 0.120 0.551
O 0.521 0.519 0.813
O 0.550 0.860 0.765
O 0.570 0.998 0.339
O 0.578 0.068 0.956
O 0.613 0.249 0.146
O 0.620 0.446 0.459
O 0.621 0.652 0.733
O 0.647 0.239 0.440
O 0.659 0.682 0.501
O 0.688 0.425 0.643
O 0.691 0.875 0.958
O 0.718 0.055 0.170
O 0.754 0.794 0.392
O 0.785 0.999 0.620
O 0.843 0.595 0.144
O 0.849 0.440 0.934
O 0.860 0.579 0.336
O 0.877 0.655 0.981
O 0.883 0.165 0.853
O 0.889 0.924 0.253
O 0.942 0.169 0.053
O 0.961 0.535 0.801
O 0.964 0.225 0.690
O 0.968 0.102 0.469
O 0.995 0.994 0.889

Calculated values
energy of formation	-0.950	eV per atom
space-group type	P-1
corrected total energy (MP2020 scheme)	-8.477	eV per atom
calculated density	3.6	Mg/m³

---

Record 4
Os3C10SO10 | PBE-GGA | relaxed

Cell lengths 6.987, 9.658, 13.420 Å; angles 82.60, 87.63, 72.36 degrees
Atoms (fractional coordinates):
Os 0.145 0.318 0.335
Os 0.262 0.025 0.276
Os 0.331 0.263 0.139
Os 0.669 0.737 0.861
Os 0.738 0.975 0.724
Os 0.855 0.682 0.665
C 0.050 0.232 0.205
C 0.061 0.947 0.235
C 0.139 0.589 0.657
C 0.164 0.254 0.475
C 0.165 0.320 0.021
C 0.202 0.499 0.336
C 0.260 0.928 0.409
C 0.410 0.439 0.122
C 0.450 0.853 0.934
C 0.468 0.873 0.222
C 0.532 0.127 0.778
C 0.550 0.147 0.066
C 0.590 0.561 0.878
C 0.740 0.072 0.591
C 0.798 0.501 0.664
C 0.835 0.680 0.979
C 0.836 0.746 0.525
C 0.861 0.411 0.343
C 0.939 0.053 0.765
C 0.950 0.768 0.795
S 0.482 0.169 0.302
S 0.518 0.831 0.698
O 0.058 0.101 0.793
O 0.061 0.349 0.952
O 0.114 0.744 0.831
O 0.182 0.214 0.561
O 0.234 0.610 0.338
O 0.256 0.867 0.489
O 0.310 0.534 0.650
O 0.316 0.922 0.977
O 0.405 0.221 0.807
O 0.455 0.546 0.113
O 0.545 0.454 0.887
O 0.595 0.779 0.193
O 0.684 0.078 0.023
O 0.690 0.466 0.350
O 0.744 0.133 0.511
O 0.766 0.390 0.662
O 0.818 0.786 0.439
O 0.886 0.256 0.169
O 0.939 0.651 0.048
O 0.942 0.899 0.207

Calculated values
energy of formation	-0.964	eV per atom
space-group type	P-1
corrected total energy (MP2020 scheme)	-8.447	eV per atom
calculated density	3.4	Mg/m³